## K3Tl (PBE)

Data for a geometry-optimized K3Tl structure.

Cell and atoms, written as CIF:
```
data_K3Tl
_symmetry_space_group_name_H-M 'P m -3 m'
_symmetry_Int_Tables_number 221
_symmetry_space_group_name_Hall '-P 4 2 3'
_cell_length_a 5.9064
_cell_length_b 5.9064
_cell_length_c 5.9064
_cell_angle_alpha 90.00
_cell_angle_beta 90.00
_cell_angle_gamma 90.00
loop_
_atom_site_label
_atom_site_type_symbol
_atom_site_fract_x
_atom_site_fract_y
_atom_site_fract_z
_atom_site_occupancy
K1 K 0.0000 0.0000 0.5000 1
Tl1 Tl 0.5000 0.5000 0.5000 1
```

Results
- energy of formation (meV/atom) = 14
- V (Å³/cell) = 206.1

## Sr4CaY2Ru2O12 (PBE)

Data for a geometry-optimized Sr4CaY2Ru2O12 structure.

Cell and atoms, written as CIF:
```
data_Sr4CaY2Ru2O12
_symmetry_space_group_name_H-M 'P 1'
_symmetry_Int_Tables_number 1
_symmetry_space_group_name_Hall 'P 1'
_cell_length_a 5.8264
_cell_length_b 6.1416
_cell_length_c 8.5475
_cell_angle_alpha 85.72
_cell_angle_beta 88.98
_cell_angle_gamma 89.17
loop_
_atom_site_label
_atom_site_type_symbol
_atom_site_fract_x
_atom_site_fract_y
_atom_site_fract_z
_atom_site_occupancy
Sr1 Sr 0.0000 0.0000 0.0000 1
Sr2 Sr 0.0111 0.1832 0.6008 1
Sr3 Sr 0.5311 0.5718 0.0597 1
Sr4 Sr 0.5470 0.6395 0.6009 1
Ca1 Ca 0.0230 0.3003 0.2132 1
Y1 Y 0.0381 0.7148 0.3688 1
Y2 Y 0.5152 0.1213 0.8337 1
Ru1 Ru 0.0302 0.6044 0.8436 1
Ru2 Ru 0.5335 0.1891 0.3574 1
O1 O 0.1082 0.6135 0.6171 1
O2 O 0.2281 0.3370 0.9145 1
O3 O 0.2503 0.0054 0.3115 1
O4 O 0.3020 0.8168 0.8647 1
O5 O 0.3296 0.4610 0.3170 1
O6 O 0.4435 0.1853 0.5883 1
O7 O 0.6502 0.1795 0.1277 1
O8 O 0.7502 0.9400 0.4123 1
O9 O 0.7686 0.3935 0.8146 1
O10 O 0.7939 0.4091 0.4042 1
O11 O 0.7993 0.8666 0.7943 1
O12 O 0.9563 0.6338 0.0946 1
```

Results
- offset from the most stable computed form (kJ per mole of atoms) = 0.69
- energy of formation (meV/atom) = -2720
- V (Å³/cell) = 304.9

## Na2Sr3P4 (PBE)

Data for a geometry-optimized Na2Sr3P4 structure.

Cell and atoms, written as CIF:
```
data_Na2Sr3P4
_symmetry_space_group_name_H-M 'P 1 21/c 1'
_symmetry_Int_Tables_number 14
_symmetry_space_group_name_Hall '-P 2ybc'
_cell_length_a 8.0113
_cell_length_b 7.3755
_cell_length_c 17.2648
_cell_angle_alpha 90.00
_cell_angle_beta 117.62
_cell_angle_gamma 90.00
loop_
_atom_site_label
_atom_site_type_symbol
_atom_site_fract_x
_atom_site_fract_y
_atom_site_fract_z
_atom_site_occupancy
Na1 Na 0.0572 0.1840 0.3746 1
Na2 Na 0.2589 0.1364 0.7497 1
Sr1 Sr 0.1864 0.6842 0.3727 1
Sr2 Sr 0.2933 0.0372 0.1021 1
Sr3 Sr 0.4077 0.5368 0.1021 1
P1 P 0.0062 0.1332 0.5349 1
P2 P 0.1709 0.5206 0.7494 1
P3 P 0.3686 0.7433 0.7507 1
P4 P 0.4373 0.1350 0.9649 1
```

Results
- offset from the most stable computed form (kJ per mole of atoms) = 0.00
- energy of formation (meV/atom) = -824
- V (Å³/cell) = 903.8

## Ba2As6O11 (PBE)

Data for a geometry-optimized Ba2As6O11 structure.

Cell and atoms, written as CIF:
```
data_Ba2As6O11
_symmetry_space_group_name_H-M 'P -1'
_symmetry_Int_Tables_number 2
_symmetry_space_group_name_Hall '-P 1'
_cell_length_a 8.6108
_cell_length_b 9.4499
_cell_length_c 9.4709
_cell_angle_alpha 73.57
_cell_angle_beta 72.44
_cell_angle_gamma 75.64
loop_
_atom_site_label
_atom_site_type_symbol
_atom_site_fract_x
_atom_site_fract_y
_atom_site_fract_z
_atom_site_occupancy
Ba1 Ba 0.0227 0.4406 0.2783 1
Ba2 Ba 0.4600 0.5845 0.2260 1
As1 As 0.0986 0.8814 0.3056 1
As2 As 0.1833 0.1820 0.9289 1
As3 As 0.2014 0.7285 0.9419 1
As4 As 0.2987 0.8223 0.5677 1
As5 As 0.3020 0.2582 0.5638 1
As6 As 0.3821 0.0887 0.1966 1
O1 O 0.0140 0.3201 0.0116 1
O2 O 0.1121 0.7275 0.2348 1
O3 O 0.1608 0.7703 0.4874 1
O4 O 0.2142 0.4272 0.4674 1
O5 O 0.2163 0.1683 0.3208 1
O6 O 0.2507 0.6834 0.7444 1
O7 O 0.2570 0.3163 0.7527 1
O8 O 0.3092 0.5569 0.0156 1
O9 O 0.3124 0.9149 0.2015 1
O10 O 0.3422 0.2020 0.0070 1
O11 O 0.4836 0.6943 0.4895 1
```

Results
- offset from the most stable computed form (kJ per mole of atoms) = 0.00
- energy of formation (meV/atom) = -2066
- V (Å³/cell) = 693.5

## Ho2Br2O (PBE)

Data for a geometry-optimized Ho2Br2O structure.

Cell and atoms, written as CIF:
```
data_Ho2Br2O
_symmetry_space_group_name_H-M 'P 4/m m m'
_symmetry_Int_Tables_number 123
_symmetry_space_group_name_Hall '-P 4 2'
_cell_length_a 4.1003
_cell_length_b 4.1003
_cell_length_c 13.1045
_cell_angle_alpha 90.00
_cell_angle_beta 90.00
_cell_angle_gamma 90.00
loop_
_atom_site_label
_atom_site_type_symbol
_atom_site_fract_x
_atom_site_fract_y
_atom_site_fract_z
_atom_site_occupancy
Ho1 Ho 0.0000 0.0000 0.1561 1
Br1 Br 0.0000 0.0000 0.3546 1
O1 O 0.0000 0.0000 0.0000 1
```

Results
- energy of formation (meV/atom) = -1332
- V (Å³/cell) = 220.3

## LuBRh3 (PBE)

Data for a geometry-optimized LuBRh3 structure.

Cell and atoms, written as CIF:
```
data_LuBRh3
_symmetry_space_group_name_H-M 'P m -3 m'
_symmetry_Int_Tables_number 221
_symmetry_space_group_name_Hall '-P 4 2 3'
_cell_length_a 4.1762
_cell_length_b 4.1762
_cell_length_c 4.1762
_cell_angle_alpha 90.00
_cell_angle_beta 90.00
_cell_angle_gamma 90.00
loop_
_atom_site_label
_atom_site_type_symbol
_atom_site_fract_x
_atom_site_fract_y
_atom_site_fract_z
_atom_site_occupancy
Lu1 Lu 0.0000 0.0000 0.0000 1
B1 B 0.5000 0.5000 0.5000 1
Rh1 Rh 0.0000 0.5000 0.5000 1
```

Results
- energy of formation (meV/atom) = -832
- V (Å³/cell) = 72.8

## Mg5In (PBE)

Data for a geometry-optimized Mg5In structure.

Cell and atoms, written as CIF:
```
data_Mg5In
_symmetry_space_group_name_H-M 'A m m 2'
_symmetry_Int_Tables_number 38
_symmetry_space_group_name_Hall 'A 2 -2'
_cell_length_a 5.1788
_cell_length_b 3.2183
_cell_length_c 16.6800
_cell_angle_alpha 90.00
_cell_angle_beta 90.00
_cell_angle_gamma 90.00
loop_
_atom_site_label
_atom_site_type_symbol
_atom_site_fract_x
_atom_site_fract_y
_atom_site_fract_z
_atom_site_occupancy
Mg1 Mg 0.0000 0.0000 0.0000 1
Mg2 Mg 0.0000 0.0000 0.3317 1
Mg3 Mg 0.0000 0.0000 0.6648 1
Mg4 Mg 0.5000 0.0000 0.2200 1
Mg5 Mg 0.5000 0.0000 0.5546 1
In1 In 0.5000 0.0000 0.8880 1
```

Results
- energy of formation (meV/atom) = -30
- V (Å³/cell) = 278.0

## Eu3Th (PBE)

Data for a geometry-optimized Eu3Th structure.

Cell and atoms, written as CIF:
```
data_Eu3Th
_symmetry_space_group_name_H-M 'P m -3 m'
_symmetry_Int_Tables_number 221
_symmetry_space_group_name_Hall '-P 4 2 3'
_cell_length_a 5.3678
_cell_length_b 5.3678
_cell_length_c 5.3678
_cell_angle_alpha 90.00
_cell_angle_beta 90.00
_cell_angle_gamma 90.00
loop_
_atom_site_label
_atom_site_type_symbol
_atom_site_fract_x
_atom_site_fract_y
_atom_site_fract_z
_atom_site_occupancy
Eu1 Eu 0.0000 0.0000 0.5000 1
Th1 Th 0.5000 0.5000 0.5000 1
```

Results
- offset from the most stable computed form (kJ per mole of atoms) = 0.77
- energy of formation (meV/atom) = 227
- V (Å³/cell) = 154.7